Entry 1:
The following is a DFT calculation (GGA+U) of a relaxed NaCoO2 crystal.

Summary:
The total energy comes out at -5.272 eV per atom. As for the size of the total moment: 0.00 μB/f.u. The value obtained for the calculated formation energy is -1.4432 eV per atom.

Unit cell a=4.513 b=5.963 c=6.494 alpha=93.51 beta=89.99 gamma=89.99
Atoms (fractional coordinates):
O1 0.750 0.111 0.585
O2 0.251 0.389 0.415
O3 0.750 0.647 0.174
O4 0.750 0.610 0.585
O5 0.750 0.147 0.174
O6 0.251 0.890 0.415
O7 0.250 0.853 0.826
O8 0.250 0.353 0.826
Co1 0.749 0.871 0.376
Co2 0.250 0.129 0.624
Co3 0.749 0.371 0.376
Co4 0.250 0.629 0.624
Na1 0.750 0.879 0.877
Na2 0.250 0.621 0.123
Na3 0.250 0.121 0.123
Na4 0.750 0.379 0.877

***

Entry 2:
The following is a DFT calculation (GGA+U) of a relaxed MgCo6Ag2P6H4O24 crystal.

Summary:
The total energy comes out at -6.303 eV per atom. As for the space group: No. 1. For the offset from the most stable computed form, the calculation gives 21 meV/atom. As for the size of the total moment: 16.00 μB/f.u. The value obtained for the calculated formation energy is -1.9219 eV per atom.

Unit cell a=6.511 b=8.932 c=9.091 alpha=85.99 beta=71.72 gamma=74.55
Atoms (fractional coordinates):
Mg1 0.000 0.000 0.000
Co1 0.229 0.140 0.244
Co2 0.260 0.715 0.047
Co3 0.376 0.235 0.520
Co4 0.595 0.506 0.426
Co5 0.742 0.572 0.713
Co6 0.934 0.838 0.733
Ag1 0.231 0.841 0.467
Ag2 0.816 0.886 0.415
P1 0.109 0.520 0.355
P2 0.243 0.504 0.781
P3 0.406 0.937 0.753
P4 0.604 0.792 0.148
P5 0.722 0.232 0.174
P6 0.854 0.205 0.599
H1 0.175 0.442 0.109
H2 0.313 0.191 0.827
H3 0.647 0.542 0.105
H4 0.787 0.282 0.844
O1 0.022 0.607 0.751
O2 0.093 0.191 0.484
O3 0.120 0.676 0.276
O4 0.150 0.396 0.220
O5 0.198 0.869 0.814
O6 0.233 0.521 0.951
O7 0.263 0.331 0.746
O8 0.288 0.461 0.437
O9 0.332 0.077 0.875
O10 0.378 0.912 0.156
O11 0.444 0.002 0.588
O12 0.446 0.560 0.670
O13 0.522 0.169 0.277
O14 0.603 0.729 0.313
O15 0.608 0.646 0.050
O16 0.613 0.810 0.766
O17 0.683 0.269 0.511
O18 0.696 0.403 0.207
O19 0.760 0.201 0.000
O20 0.810 0.851 0.066
O21 0.811 0.330 0.735
O22 0.827 0.057 0.687
O23 0.875 0.529 0.473
O24 0.946 0.121 0.199

***

Q: calculated formation energy of number 2 (MgCo6Ag2P6H4O24)?
A: -1.9219 eV per atom

***

Q: Which of these has the highest size of the total moment?
A: MgCo6Ag2P6H4O24

***

Q: Number 2 is which compound?
A: MgCo6Ag2P6H4O24